No. 1
An optimized crystal structure of In2AgTe3I, computed with PBE-GGA.

Results
total magnetization = 0.000 μB per cell

abc: 7.846 7.846 8.083
angles: 81.98 81.98 33.66
Element x y z (fractional)
In 0.563 0.563 0.813
In 0.811 0.811 0.063
Ag 0.309 0.309 0.553
Te 0.006 0.006 0.019
Te 0.242 0.242 0.248
Te 0.752 0.752 0.742
I 0.505 0.505 0.500

No. 2
An optimized crystal structure of K2AgI3, computed with PBE-GGA.

abc: 4.865 10.226 19.866
angles: 90.00 90.00 90.00
Element x y z (fractional)
K 0.750 0.250 0.037
K 0.250 0.750 0.963
K 0.750 0.750 0.463
K 0.250 0.250 0.537
K 0.750 0.924 0.714
K 0.250 0.576 0.214
K 0.750 0.424 0.786
K 0.250 0.076 0.286
Ag 0.250 0.130 0.864
Ag 0.250 0.630 0.636
Ag 0.750 0.870 0.136
Ag 0.750 0.370 0.364
I 0.750 0.492 0.599
I 0.250 0.008 0.099
I 0.250 0.688 0.777
I 0.750 0.812 0.277
I 0.250 0.881 0.572
I 0.750 0.119 0.428
I 0.250 0.508 0.401
I 0.750 0.619 0.072
I 0.250 0.381 0.928
I 0.750 0.312 0.223
I 0.250 0.188 0.723
I 0.750 0.992 0.901

| no. | energy of formation from the pure elements (eV per atom) |
| --- | --- |
| 1 | -0.379 |
| 2 | -1.271 |